1.
Material: La5CuGe3
Method: DFT, PBE
State: relaxed

Lattice parameters (Å, degrees): 9.2779 9.2779 6.7823 90.00 90.00 120.00
Space group P6_3/mcm (No. 193)
Inequivalent atoms, fractional coordinates:
La 0.0000 0.2703 0.2500 [6 per cell]
La 0.3333 0.6667 0.0000 [4 per cell]
Cu 0.0000 0.0000 0.0000 [2 per cell]
Ge 0.0000 0.3809 0.7500 [6 per cell]

Results
The final energy comes out at -5.340 eV/atom. The calculation puts the magnetization at 1.4 μB/f.u.

2.
Material: LaCu2Ge2
Method: DFT, PBE
State: relaxed

Lattice parameters (Å, degrees): 4.235 4.235 10.216 90.00 90.00 90.00
Space group I4/mmm (No. 139)
Inequivalent atoms, fractional coordinates:
La 0.000 0.000 0.000 [2 per cell]
Cu 0.000 0.500 0.250 [4 per cell]
Ge 0.000 0.000 0.375 [4 per cell]

Results
The final energy comes out at -5.035 eV/atom.

3.
Material: LaCuGe2
Method: DFT, PBE
State: relaxed

Lattice parameters (Å, degrees): 4.410 17.284 4.292 90.00 90.00 90.00
Space group Cmcm (No. 63)
Inequivalent atoms, fractional coordinates:
La 0.000 0.105 0.250 [4 per cell]
Cu 0.000 0.321 0.250 [4 per cell]
Ge 0.000 0.248 0.750 [4 per cell]
Ge 0.000 0.461 0.250 [4 per cell]

Results
The final energy comes out at -5.200 eV/atom.

4.
Material: LaMnCuGe2
Method: DFT, PBE
State: relaxed

Lattice parameters (Å, degrees): 4.219 4.219 10.620 90.00 90.00 90.00
Space group I-4m2 (No. 119)
Inequivalent atoms, fractional coordinates:
La 0.000 0.000 0.000 [2 per cell]
Mn 0.000 0.500 0.750 [2 per cell]
Cu 0.000 0.500 0.250 [2 per cell]
Ge 0.000 0.000 0.377 [4 per cell]

Results
The final energy comes out at -5.984 eV/atom. The calculation puts the magnetization at 3.6 μB/f.u.

| no. | energy relative to the elements (meV per atom) |
| --- | --- |
| 1 | -601 |
| 2 | -559 |
| 3 | -629 |
| 4 | -495 |